# 1
LaOsN3 | the Materials Project database | PBE-GGA | relaxed; theoretical density = 7.3 g cm⁻³; ΔH_f (0 K) = -593 meV/atom; E = -8.61 eV per atom; M_tot = 0.00 μB/cell
1.0
-8.729 -1.485 5.163
2.535 -0.878 4.033
1.013 6.229 3.505
N La Os
12 4 4
direct
0.654 0.984 0.163
0.084 0.697 0.095
0.115 0.383 0.595
0.885 0.617 0.405
0.584 0.303 0.405
0.615 0.617 0.905
0.416 0.697 0.595
0.916 0.303 0.905
0.346 0.016 0.837
0.154 0.016 0.337
0.846 0.984 0.663
0.385 0.383 0.095
0.167 0.246 0.977
0.667 0.754 0.523
0.833 0.754 0.023
0.333 0.246 0.477
0.430 0.691 0.849
0.570 0.309 0.151
0.070 0.691 0.349
0.930 0.309 0.651

=====

# 2
SrEuTiNbO6 | the Materials Project database | PBE-GGA | relaxed; theoretical density = 6.1 g cm⁻³; ΔH_f (0 K) = -3364 meV/atom; E = -8.92 eV per atom; M_tot = 6.62 μB/cell
1.0
0.000 -4.019 -4.019
4.019 0.000 -4.019
4.019 -4.019 0.000
Sr Eu Ti O Nb
1 1 1 6 1
direct
0.750 0.750 0.750
0.250 0.250 0.250
0.500 0.500 0.500
0.747 0.747 0.253
0.253 0.253 0.747
0.253 0.747 0.253
0.747 0.253 0.747
0.253 0.747 0.747
0.747 0.253 0.253
0.000 0.000 0.000

=====

# 3
YNiGe3 | the Materials Project database | PBE-GGA | relaxed; theoretical density = 6.6 g cm⁻³; ΔH_f (0 K) = -579 meV/atom; E = -5.80 eV per atom
1.0
2.056 -10.851 0.000
2.056 10.851 0.000
0.000 0.000 4.096
Ge Y Ni
6 2 2
direct
0.057 0.943 0.000
0.717 0.283 0.000
0.557 0.443 0.500
0.283 0.717 0.000
0.943 0.057 0.000
0.443 0.557 0.500
0.169 0.831 0.500
0.831 0.169 0.500
0.390 0.610 0.000
0.610 0.390 0.000

=====

# 4
VPt3 | the Materials Project database | PBE-GGA | relaxed; theoretical density = 17.6 g cm⁻³; ΔH_f (0 K) = -443 meV/atom; E = -7.27 eV per atom
1.0
3.884 1.774 2.258
-1.154 1.465 4.456
-0.786 -4.128 -2.382
Pt V
3 1
direct
0.250 0.750 0.500
0.500 0.500 0.000
0.750 0.250 0.500
0.000 0.000 0.000

=====

# 5
NbSiPd | the Materials Project database | PBE-GGA | relaxed; theoretical density = 8.2 g cm⁻³; ΔH_f (0 K) = -687 meV/atom; E = -7.59 eV per atom
1.0
3.798 0.000 0.000
0.000 6.484 0.000
0.000 0.000 7.491
Si Nb Pd
4 4 4
direct
0.250 0.733 0.629
0.750 0.767 0.129
0.750 0.267 0.371
0.250 0.233 0.871
0.250 0.472 0.165
0.250 0.972 0.335
0.750 0.528 0.835
0.750 0.028 0.665
0.750 0.648 0.438
0.750 0.148 0.062
0.250 0.352 0.562
0.250 0.852 0.938

=====

# 6
WSeS | the Materials Project database | PBE-GGA | relaxed; theoretical density = 4.6 g cm⁻³; ΔH_f (0 K) = -841 meV/atom; E = -7.54 eV per atom
1.0
1.627 -2.819 0.000
1.627 2.819 0.000
0.000 0.000 23.023
S Se W
2 2 2
direct
0.333 0.667 0.083
0.333 0.667 0.218
0.000 0.000 0.526
0.000 0.000 0.377
0.000 0.000 0.150
0.333 0.667 0.451